Record 1
VASP calculation (PBE) on a relaxed structure of SrAl2B2O7.

Cell and atoms, written as POSCAR:
```
SrAl2B2O7
1.0
2.477 1.430 16.178
-2.477 1.430 16.178
0.000 -2.861 16.178
Sr Al B O
2 4 4 14
Direct
0.000 0.000 0.000
0.500 0.500 0.500
0.215 0.215 0.215
0.285 0.285 0.285
0.715 0.715 0.715
0.785 0.785 0.785
0.133 0.133 0.133
0.367 0.367 0.367
0.633 0.633 0.633
0.867 0.867 0.867
0.063 0.426 0.610
0.074 0.437 0.890
0.110 0.926 0.563
0.250 0.250 0.250
0.390 0.937 0.574
0.426 0.610 0.063
0.437 0.890 0.074
0.563 0.110 0.926
0.574 0.390 0.937
0.610 0.063 0.426
0.750 0.750 0.750
0.890 0.074 0.437
0.926 0.563 0.110
0.937 0.574 0.390
```

Density in kg/m3: 2657
Crystal system: trigonal
Corrected total energy (MP2020 scheme) in eV per atom: -8.0292
Formation energy from the elements in meV per atom: -3264.6
Size of the total moment in μB/atom: 0.000



Record 2
VASP calculation (PBE) on a relaxed structure of KU2SO12.

Cell and atoms, written as POSCAR:
```
KU2SO12
1.0
4.391 -7.106 0.000
4.391 7.106 0.000
-4.223 0.000 17.166
K U S O
4 8 4 48
Direct
0.186 0.695 0.624
0.305 0.814 0.876
0.695 0.186 0.124
0.814 0.305 0.376
0.146 0.182 0.585
0.182 0.146 0.085
0.321 0.349 0.414
0.349 0.321 0.914
0.651 0.679 0.086
0.679 0.651 0.586
0.818 0.854 0.915
0.854 0.818 0.415
0.004 0.996 0.250
0.499 0.501 0.750
0.501 0.499 0.250
0.996 0.004 0.750
0.007 0.137 0.700
0.021 0.310 0.566
0.042 0.498 0.762
0.061 0.176 0.301
0.062 0.271 0.115
0.097 0.111 0.957
0.111 0.097 0.457
0.137 0.007 0.200
0.155 0.666 0.097
0.176 0.061 0.801
0.190 0.471 0.430
0.218 0.438 0.885
0.271 0.062 0.615
0.310 0.021 0.066
0.319 0.445 0.698
0.334 0.845 0.403
0.368 0.487 0.300
0.393 0.400 0.043
0.400 0.393 0.543
0.438 0.218 0.385
0.445 0.319 0.198
0.471 0.190 0.930
0.487 0.368 0.800
0.498 0.042 0.262
0.502 0.958 0.738
0.513 0.632 0.200
0.529 0.810 0.070
0.555 0.681 0.802
0.562 0.782 0.615
0.600 0.607 0.457
0.607 0.600 0.957
0.632 0.513 0.700
0.666 0.155 0.597
0.681 0.555 0.302
0.690 0.979 0.934
0.729 0.938 0.385
0.782 0.562 0.115
0.810 0.529 0.570
0.824 0.939 0.199
0.845 0.334 0.903
0.863 0.993 0.800
0.889 0.903 0.543
0.903 0.889 0.043
0.938 0.729 0.885
0.939 0.824 0.699
0.958 0.502 0.238
0.979 0.690 0.434
0.993 0.863 0.300
```

Density in kg/m3: 4584
Crystal system: monoclinic
Corrected total energy (MP2020 scheme) in eV per atom: -7.6671
Formation energy from the elements in meV per atom: -2216.7
Size of the total moment in μB/atom: 0.257



Record 3
VASP calculation (PBE) on a relaxed structure of SmAl8Co2.

Cell and atoms, written as POSCAR:
```
SmAl8Co2
1.0
12.605 0.000 0.000
0.000 14.249 0.000
0.000 0.000 3.975
Sm Al Co
4 32 8
Direct
0.162 0.180 0.000
0.338 0.680 0.000
0.662 0.320 0.000
0.838 0.820 0.000
0.000 0.000 0.000
0.000 0.500 0.500
0.025 0.869 0.500
0.047 0.320 0.500
0.095 0.749 0.000
0.158 0.622 0.500
0.160 0.457 0.000
0.168 0.011 0.500
0.234 0.830 0.500
0.266 0.330 0.500
0.332 0.511 0.500
0.340 0.957 0.000
0.342 0.122 0.500
0.405 0.249 0.000
0.453 0.820 0.500
0.475 0.369 0.500
0.500 0.000 0.500
0.500 0.500 0.000
0.525 0.631 0.500
0.547 0.180 0.500
0.595 0.751 0.000
0.658 0.878 0.500
0.660 0.043 0.000
0.668 0.489 0.500
0.734 0.670 0.500
0.766 0.170 0.500
0.832 0.989 0.500
0.840 0.543 0.000
0.842 0.378 0.500
0.905 0.251 0.000
0.953 0.680 0.500
0.975 0.131 0.500
0.035 0.594 0.000
0.154 0.906 0.000
0.346 0.406 0.000
0.465 0.094 0.000
0.535 0.906 0.000
0.654 0.594 0.000
0.846 0.094 0.000
0.965 0.406 0.000
```

Density in kg/m3: 4504
Crystal system: orthorhombic
Formation energy from the elements in meV per atom: -463.9



Record 4
VASP calculation (PBE) on a relaxed structure of Mg15Si2Ir5.

Cell and atoms, written as POSCAR:
```
Mg15Si2Ir5
1.0
13.778 0.000 0.000
0.000 13.778 0.000
0.000 0.000 8.809
Mg Si Ir
60 8 20
Direct
0.000 0.000 0.000
0.000 0.500 0.500
0.006 0.517 0.158
0.017 0.994 0.658
0.047 0.697 0.639
0.090 0.194 0.856
0.118 0.823 0.385
0.119 0.189 0.526
0.119 0.822 0.888
0.121 0.163 0.185
0.163 0.379 0.315
0.177 0.618 0.885
0.178 0.619 0.388
0.189 0.381 0.974
0.194 0.410 0.644
0.197 0.953 0.139
0.303 0.547 0.139
0.306 0.090 0.644
0.311 0.119 0.974
0.322 0.881 0.388
0.323 0.882 0.885
0.337 0.121 0.315
0.379 0.337 0.185
0.381 0.311 0.526
0.381 0.678 0.888
0.382 0.677 0.385
0.410 0.306 0.856
0.453 0.803 0.639
0.483 0.506 0.658
0.494 0.983 0.158
0.500 0.000 0.500
0.500 0.500 0.000
0.506 0.017 0.842
0.517 0.494 0.342
0.547 0.197 0.361
0.590 0.694 0.144
0.618 0.323 0.615
0.619 0.322 0.112
0.619 0.689 0.474
0.621 0.663 0.815
0.663 0.879 0.685
0.677 0.118 0.115
0.678 0.119 0.612
0.689 0.881 0.026
0.694 0.910 0.356
0.697 0.453 0.861
0.803 0.047 0.861
0.806 0.590 0.356
0.811 0.619 0.026
0.822 0.381 0.612
0.823 0.382 0.115
0.837 0.621 0.685
0.879 0.837 0.815
0.881 0.178 0.112
0.881 0.811 0.474
0.882 0.177 0.615
0.910 0.806 0.144
0.953 0.303 0.361
0.983 0.006 0.342
0.994 0.483 0.842
0.084 0.702 0.135
0.202 0.916 0.635
0.298 0.584 0.635
0.416 0.798 0.135
0.584 0.202 0.865
0.702 0.416 0.365
0.798 0.084 0.365
0.916 0.298 0.865
0.015 0.330 0.651
0.018 0.326 0.075
0.170 0.015 0.849
0.174 0.018 0.425
0.250 0.750 0.136
0.250 0.750 0.636
0.326 0.482 0.425
0.330 0.485 0.849
0.482 0.174 0.075
0.485 0.170 0.651
0.515 0.830 0.349
0.518 0.826 0.925
0.670 0.515 0.151
0.674 0.518 0.575
0.750 0.250 0.364
0.750 0.250 0.864
0.826 0.982 0.575
0.830 0.985 0.151
0.982 0.674 0.925
0.985 0.670 0.349
```

Density in kg/m3: 5489
Crystal system: tetragonal
Formation energy from the elements in meV per atom: -418.0
Size of the total moment in μB/atom: 0.000



Record 5
VASP calculation (PBE) on a relaxed structure of Lu3Sn.

Cell and atoms, written as POSCAR:
```
Lu3Sn
1.0
6.709 0.000 0.000
-3.355 5.810 0.000
0.000 0.000 5.459
Lu Sn
6 2
Direct
0.169 0.338 0.250
0.169 0.831 0.250
0.338 0.169 0.750
0.662 0.831 0.250
0.831 0.169 0.750
0.831 0.662 0.750
0.333 0.667 0.750
0.667 0.333 0.250
```

Density in kg/m3: 10045
Crystal system: hexagonal
Formation energy from the elements in meV per atom: -362.9
Size of the total moment in μB/atom: 0.156



Record 6
VASP calculation (PBE) on a relaxed structure of Ba2LaBiO6.

Cell and atoms, written as POSCAR:
```
Ba2LaBiO6
1.0
5.426 -3.145 0.000
5.426 3.145 0.000
-3.631 0.000 5.176
Ba La Bi O
2 1 1 6
Direct
0.249 0.249 0.241
0.751 0.751 0.759
0.000 0.000 0.500
0.500 0.500 0.000
0.221 0.699 0.197
0.263 0.263 0.692
0.301 0.779 0.803
0.699 0.221 0.197
0.737 0.737 0.308
0.779 0.301 0.803
```

Density in kg/m3: 6755
Crystal system: monoclinic
Corrected total energy (MP2020 scheme) in eV per atom: -7.0233
Formation energy from the elements in meV per atom: -2788.2
Size of the total moment in μB/atom: 0.000